(1)
KMn2O4 GGA+U relaxed; crystal system = triclinic
1.0
3.0523 0.0000 0.0000
-0.2972 5.1532 0.0000
-0.1468 -1.7315 6.3388
K O Mn
1 4 2
direct
0.5000 0.0000 0.5000 K
0.4759 0.7911 0.8449 O
0.5241 0.2089 0.1551 O
0.0340 0.2605 0.8363 O
0.9660 0.7395 0.1637 O
0.5000 0.5000 0.0000 Mn
0.0000 0.0000 0.0000 Mn

(2)
KMn2O4 GGA+U relaxed; crystal system = tetragonal; size of the total moment = 8.00 μB/cell
1.0
10.8402 0.0000 0.0000
0.0000 10.8402 0.0000
0.0000 0.0000 5.9064
O Mn K
32 16 8
direct
0.8390 0.2889 0.8717 O
0.2889 0.1610 0.1283 O
0.2808 0.1483 0.6293 O
0.6545 0.4507 0.6280 O
0.7192 0.8517 0.6293 O
0.0394 0.1711 0.6199 O
0.7808 0.6483 0.8707 O
0.9507 0.8455 0.1280 O
0.1483 0.7192 0.3707 O
0.9606 0.8289 0.6199 O
0.8455 0.0493 0.8720 O
0.5493 0.6545 0.3720 O
0.6610 0.2111 0.6283 O
0.3517 0.7808 0.1293 O
0.8289 0.0394 0.3801 O
0.6711 0.4606 0.1199 O
0.3390 0.7889 0.6283 O
0.2192 0.3517 0.8707 O
0.7889 0.6610 0.3717 O
0.6483 0.2192 0.1293 O
0.1545 0.9507 0.8720 O
0.3455 0.5493 0.6280 O
0.7111 0.8390 0.1283 O
0.1610 0.7111 0.8717 O
0.3289 0.5394 0.1199 O
0.5394 0.6711 0.8801 O
0.2111 0.3390 0.3717 O
0.4507 0.3455 0.3720 O
0.8517 0.2808 0.3707 O
0.4606 0.3289 0.8801 O
0.1711 0.9606 0.3801 O
0.0493 0.1545 0.1280 O
0.8354 0.8519 0.3783 Mn
0.6646 0.6481 0.1217 Mn
0.8513 0.1585 0.1281 Mn
0.6487 0.3415 0.3719 Mn
0.3513 0.6585 0.3719 Mn
0.3354 0.3519 0.1217 Mn
0.1487 0.8415 0.1281 Mn
0.8415 0.8513 0.8719 Mn
0.1585 0.1487 0.8719 Mn
0.1481 0.8354 0.6217 Mn
0.3415 0.3513 0.6281 Mn
0.3519 0.6646 0.8783 Mn
0.6481 0.3354 0.8783 Mn
0.6585 0.6487 0.6281 Mn
0.1646 0.1481 0.3783 Mn
0.8519 0.1646 0.6217 Mn
0.6243 0.0248 0.8894 K
0.3757 0.9752 0.8894 K
0.8757 0.4752 0.6106 K
0.1243 0.5248 0.6106 K
0.0248 0.3757 0.1106 K
0.5248 0.8757 0.3894 K
0.4752 0.1243 0.3894 K
0.9752 0.6243 0.1106 K

Most stable structure, least stable structure: (1), (2).

(1)
K2Mn2S3O12 GGA+U relaxed; crystal system = orthorhombic; size of the total moment = 9.36 μB/cell
1.0
10.2244 0.0000 0.0000
0.0000 10.2361 0.0000
0.0000 0.0000 10.2793
Mn O K S
8 48 8 12
direct
0.0809 0.8915 0.4055 Mn
0.1626 0.6864 0.8457 Mn
0.9191 0.3915 0.0945 Mn
0.8374 0.1864 0.6543 Mn
0.4191 0.1085 0.9055 Mn
0.3374 0.3136 0.3457 Mn
0.6626 0.8136 0.1543 Mn
0.5809 0.6085 0.5945 Mn
0.0129 0.2991 0.2584 O
0.4871 0.7009 0.7584 O
0.9174 0.3837 0.7095 O
0.7577 0.5623 0.7207 O
0.0235 0.0936 0.6985 O
0.1039 0.3298 0.9955 O
0.6681 0.8018 0.5634 O
0.0015 0.5740 0.1679 O
0.2577 0.9377 0.2793 O
0.4765 0.9064 0.1985 O
0.7467 0.9810 0.0399 O
0.2776 0.3873 0.1525 O
0.8319 0.1982 0.0634 O
0.3961 0.6702 0.4955 O
0.4985 0.4260 0.6679 O
0.6764 0.5487 0.4176 O
0.7533 0.0190 0.5399 O
0.8961 0.8298 0.5045 O
0.4174 0.1163 0.2905 O
0.8236 0.4513 0.9176 O
0.5826 0.6163 0.2095 O
0.3319 0.3018 0.9366 O
0.5129 0.2009 0.7416 O
0.1764 0.9513 0.5824 O
0.9985 0.0740 0.3321 O
0.3236 0.0487 0.0824 O
0.2224 0.6127 0.6525 O
0.7224 0.8873 0.3475 O
0.2423 0.0623 0.7793 O
0.9303 0.2542 0.4722 O
0.6621 0.2788 0.5757 O
0.1621 0.2212 0.4243 O
0.2467 0.5190 0.9601 O
0.0697 0.7542 0.0278 O
0.7776 0.1127 0.8475 O
0.7423 0.4377 0.2207 O
0.5235 0.4064 0.3015 O
0.9871 0.7991 0.2416 O
0.8379 0.7212 0.0757 O
0.3379 0.7788 0.9243 O
0.0826 0.8837 0.7905 O
0.5697 0.7458 0.9722 O
0.4303 0.2458 0.5278 O
0.1681 0.6982 0.4366 O
0.2533 0.4810 0.4601 O
0.9765 0.5936 0.8015 O
0.5015 0.9260 0.8321 O
0.6039 0.1702 0.0045 O
0.8095 0.8280 0.8130 K
0.1905 0.3280 0.6870 K
0.4411 0.9626 0.5571 K
0.3095 0.6720 0.1870 K
0.9411 0.5374 0.4429 K
0.6905 0.1720 0.3130 K
0.0589 0.0374 0.0571 K
0.5589 0.4626 0.9429 K
0.7617 0.8834 0.4867 S
0.7383 0.1166 0.9867 S
0.4734 0.7884 0.8719 S
0.1308 0.9970 0.7127 S
0.5266 0.2884 0.6281 S
0.6308 0.5030 0.2873 S
0.8692 0.4970 0.7873 S
0.3692 0.0030 0.2127 S
0.2617 0.6166 0.5133 S
0.2383 0.3834 0.0133 S
0.0266 0.2116 0.3719 S
0.9734 0.7116 0.1281 S

(2)
K2Mn2S3O12 GGA+U relaxed; crystal system = cubic; size of the total moment = 40.00 μB/cell
1.0
-6.0510 2.1667 8.0530
7.3110 -3.4082 6.4104
4.0119 9.4789 0.4642
S K O Mn
12 8 48 8
direct
0.5156 0.2782 0.6243 S
0.4844 0.7782 0.8757 S
0.7782 0.8757 0.4844 S
0.2218 0.3757 0.0156 S
0.6243 0.5156 0.2782 S
0.3757 0.0156 0.2218 S
0.0156 0.2218 0.3757 S
0.2782 0.6243 0.5156 S
0.8757 0.4844 0.7782 S
0.9844 0.7218 0.1243 S
0.7218 0.1243 0.9844 S
0.1243 0.9844 0.7218 S
0.9479 0.5521 0.4479 K
0.8148 0.8148 0.8148 K
0.3148 0.6852 0.1852 K
0.4479 0.9479 0.5521 K
0.1852 0.3148 0.6852 K
0.0521 0.0521 0.0521 K
0.6852 0.1852 0.3148 K
0.5521 0.4479 0.9479 K
0.2629 0.5059 0.4343 O
0.7555 0.0910 0.8483 O
0.4343 0.2629 0.5059 O
0.0857 0.3258 0.0079 O
0.8115 0.2241 0.0373 O
0.2241 0.0373 0.8115 O
0.7241 0.4627 0.1885 O
0.7629 0.9941 0.5657 O
0.3483 0.7445 0.9090 O
0.2445 0.5910 0.6517 O
0.4627 0.1885 0.7241 O
0.6517 0.2445 0.5910 O
0.4921 0.9143 0.8258 O
0.8258 0.4921 0.9143 O
0.2759 0.9627 0.3115 O
0.2371 0.4941 0.9343 O
0.9143 0.8258 0.4921 O
0.5657 0.7629 0.9941 O
0.7371 0.0059 0.0657 O
0.0059 0.0657 0.7371 O
0.4090 0.1517 0.2555 O
0.5059 0.4343 0.2629 O
0.6742 0.5079 0.4143 O
0.5373 0.6885 0.7759 O
0.9343 0.2371 0.4941 O
0.9090 0.3483 0.7445 O
0.8483 0.7555 0.0910 O
0.4941 0.9343 0.2371 O
0.0373 0.8115 0.2241 O
0.3115 0.2759 0.9627 O
0.1742 0.9921 0.5857 O
0.5910 0.6517 0.2445 O
0.4143 0.6742 0.5079 O
0.0910 0.8483 0.7555 O
0.9941 0.5657 0.7629 O
0.7759 0.5373 0.6885 O
0.5079 0.4143 0.6742 O
0.2555 0.4090 0.1517 O
0.5857 0.1742 0.9921 O
0.9627 0.3115 0.2759 O
0.0079 0.0857 0.3258 O
0.1885 0.7241 0.4627 O
0.7445 0.9090 0.3483 O
0.9921 0.5857 0.1742 O
0.6885 0.7759 0.5373 O
0.0657 0.7371 0.0059 O
0.3258 0.0079 0.0857 O
0.1517 0.2555 0.4090 O
0.1668 0.6668 0.8332 Mn
0.9070 0.4070 0.0930 Mn
0.5930 0.5930 0.5930 Mn
0.0930 0.9070 0.4070 Mn
0.3332 0.3332 0.3332 Mn
0.6668 0.8332 0.1668 Mn
0.4070 0.0930 0.9070 Mn
0.8332 0.1668 0.6668 Mn

Most stable structure, least stable structure: (2), (1).

(1)
K2MnS2O12 GGA+U relaxed; crystal system = monoclinic; size of the total moment = 8.00 μB/cell
1.0
-3.7964 -5.8918 -3.0270
-0.4258 0.9908 -7.5582
9.6001 -5.8151 -1.6914
O S K Mn
24 4 4 2
direct
0.9147 0.2183 0.2743 O
0.5283 0.8199 0.3555 O
0.7817 0.0853 0.7257 O
0.0853 0.7817 0.7257 O
0.7697 0.0544 0.0391 O
0.4717 0.1801 0.6445 O
0.0544 0.7697 0.0391 O
0.8199 0.5283 0.3555 O
0.8256 0.4921 0.1450 O
0.4188 0.7127 0.5654 O
0.5079 0.1744 0.8550 O
0.2183 0.9147 0.2743 O
0.7127 0.4188 0.5654 O
0.4921 0.8256 0.1450 O
0.8877 0.5889 0.7484 O
0.1801 0.4717 0.6445 O
0.2303 0.9456 0.9609 O
0.4111 0.1123 0.2516 O
0.2873 0.5812 0.4346 O
0.9456 0.2303 0.9609 O
0.5889 0.8877 0.7484 O
0.5812 0.2873 0.4346 O
0.1123 0.4111 0.2516 O
0.1744 0.5079 0.8550 O
0.5899 0.0820 0.7440 S
0.9180 0.4101 0.2560 S
0.0820 0.5899 0.7440 S
0.4101 0.9180 0.2560 S
0.1348 0.1348 0.6026 K
0.3292 0.3292 0.0523 K
0.8652 0.8652 0.3974 K
0.6708 0.6708 0.9477 K
0.0000 0.0000 0.0000 Mn
0.5000 0.5000 0.5000 Mn

(2)
K2MnS2O12 GGA+U relaxed; crystal system = monoclinic; size of the total moment = 12.00 μB/cell
1.0
4.9643 -5.7637 -1.1169
5.1605 4.0741 -3.9855
5.4634 2.2652 8.1420
K O S Mn
4 24 4 2
direct
0.4132 0.9041 0.7588 K
0.5868 0.0959 0.2412 K
0.9041 0.4132 0.7588 K
0.0959 0.5868 0.2412 K
0.3481 0.3481 0.4204 O
0.8175 0.1825 0.0000 O
0.5409 0.7810 0.1112 O
0.0171 0.0171 0.1840 O
0.7810 0.5409 0.1112 O
0.7930 0.7930 0.3774 O
0.3128 0.3128 0.1000 O
0.3265 0.6185 0.6043 O
0.2854 0.0480 0.4215 O
0.9829 0.9829 0.8160 O
0.8387 0.8387 0.0563 O
0.7146 0.9520 0.5785 O
0.2070 0.2070 0.6226 O
0.6735 0.3815 0.3957 O
0.4591 0.2190 0.8888 O
0.3815 0.6735 0.3957 O
0.6519 0.6519 0.5796 O
0.1825 0.8175 0.0000 O
0.2190 0.4591 0.8888 O
0.0480 0.2854 0.4215 O
0.6185 0.3265 0.6043 O
0.1613 0.1613 0.9437 O
0.9520 0.7146 0.5785 O
0.6872 0.6872 0.9000 O
0.2168 0.2168 0.4762 S
0.7025 0.7025 0.0433 S
0.2975 0.2975 0.9567 S
0.7832 0.7832 0.5238 S
0.0000 0.0000 0.0000 Mn
0.5000 0.5000 0.5000 Mn

Most stable structure, least stable structure: (2), (1).